a:
# Li2CuO2

Li2CuO2 after structural relaxation (PBE, Materials Project). Values from VASP.

Calculated values
Space group: Immm, No. 71
Volume: 10.01 Å³ per atom

Quantum ESPRESSO input file:
```
&SYSTEM
  ibrav = 0, nat = 5, ntyp = 3
/
ATOMIC_SPECIES
Li 6.94 Li.upf
Cu 63.55 Cu.upf
O 16.00 O.upf
ATOMIC_POSITIONS angstrom
Li 1.4555 0.0000 1.9429
Li 0.0000 1.8549 2.6908
Cu 0.0000 1.8549 0.0000
O 1.4555 1.8549 1.3380
O 0.0000 0.0000 3.2957
CELL_PARAMETERS angstrom
2.9110 0.0000 0.0000
0.0000 3.7099 0.0000
-1.4555 -1.8549 4.6337
```

=====

b:
# Li2CuO2

Li2CuO2 after structural relaxation (PBE, Materials Project). Values from VASP.

Calculated values
Space group: I4/mmm, No. 139
Volume: 11.52 Å³ per atom

Quantum ESPRESSO input file:
```
&SYSTEM
  ibrav = 0, nat = 5, ntyp = 3
/
ATOMIC_SPECIES
Li 6.94 Li.upf
Cu 63.55 Cu.upf
O 16.00 O.upf
ATOMIC_POSITIONS angstrom
Li 0.0000 1.9923 1.8133
Li 1.9923 0.0000 1.8133
Cu 0.0000 0.0000 0.0000
O 0.0000 1.9923 0.0000
O 1.9923 0.0000 0.0000
CELL_PARAMETERS angstrom
-1.9923 1.9923 3.6266
1.9923 -1.9923 3.6266
1.9923 1.9923 -3.6266
```

=====

According to the calculations, the structures order from most to least stable as a, b.

=====

a:
# Na3La

Na3La after structural relaxation (PBE, Materials Project). Values from VASP.

Calculated values
Space group: P6_3/mmc, No. 194
Volume: 36.28 Å³ per atom

Quantum ESPRESSO input file:
```
&SYSTEM
  ibrav = 0, nat = 8, ntyp = 2
/
ATOMIC_SPECIES
Na 22.99 Na.upf
La 138.91 La.upf
ATOMIC_POSITIONS angstrom
Na -5.2733 4.7527 1.7491
Na -3.4416 1.5680 3.1039
Na -7.0298 1.2577 1.5672
Na -3.9947 -4.4413 0.6199
Na -5.8264 -1.2566 -0.7349
Na -2.2382 -0.9463 0.8019
La -4.0681 2.0717 -0.5237
La -5.1999 -1.7603 2.8927
CELL_PARAMETERS angstrom
-3.5264 6.1310 -2.6082
-3.3814 -6.7283 -0.3503
-2.3602 0.9088 5.3275
```

=====

b:
# Na3La

Na3La after structural relaxation (PBE, Materials Project). Values from VASP.

Calculated values
Space group: Fm-3m, No. 225
Volume: 36.55 Å³ per atom

Quantum ESPRESSO input file:
```
&SYSTEM
  ibrav = 0, nat = 4, ntyp = 2
/
ATOMIC_SPECIES
Na 22.99 Na.upf
La 138.91 La.upf
ATOMIC_POSITIONS angstrom
Na -2.1124 -0.3754 -2.9168
Na -6.3372 -1.1261 -8.7505
Na -4.2248 -0.7508 -5.8336
La 0.0000 0.0000 0.0000
CELL_PARAMETERS angstrom
-4.1511 -3.3460 -2.5564
-4.2540 2.5266 -3.2376
-0.0445 -0.6821 -5.8733
```

=====

According to the calculations, the structures order from most to least stable as a, b.

=====

a:
# Rb2GeF6

Rb2GeF6 after structural relaxation (PBE, Materials Project). Values from VASP.

Calculated values
Space group: Fm-3m, No. 225
Volume: 18.48 Å³ per atom

Quantum ESPRESSO input file:
```
&SYSTEM
  ibrav = 0, nat = 9, ntyp = 3
/
ATOMIC_SPECIES
Rb 85.47 Rb.upf
Ge 72.64 Ge.upf
F 19.00 F.upf
ATOMIC_POSITIONS angstrom
Rb -2.7273 -2.6118 -0.1743
Rb -8.1819 -7.8354 -0.5228
Ge 0.0000 0.0000 0.0000
F -5.6112 -7.2710 1.1261
F -2.9893 -5.6623 -0.6958
F -7.9199 -4.7850 -0.0014
F -5.2980 -3.1763 -1.8232
F -5.9917 -6.6402 -2.3723
F -4.9175 -3.8070 1.6752
CELL_PARAMETERS angstrom
-4.5272 -2.7776 3.1458
-5.1842 -1.6886 -2.8948
-1.1978 -5.9811 -0.9481
```

=====

b:
# Rb2GeF6

Rb2GeF6 after structural relaxation (PBE, Materials Project). Values from VASP.

Calculated values
Space group: P-3m1, No. 164
Volume: 16.93 Å³ per atom

Quantum ESPRESSO input file:
```
&SYSTEM
  ibrav = 0, nat = 9, ntyp = 3
/
ATOMIC_SPECIES
Rb 85.47 Rb.upf
Ge 72.64 Ge.upf
F 19.00 F.upf
ATOMIC_POSITIONS angstrom
Rb -4.2245 1.1087 -2.1880
Rb -2.1179 3.0383 0.5755
Ge 0.0000 0.0000 0.0000
F -4.3459 3.3545 2.7040
F -4.9522 3.5508 -0.5640
F -4.0683 0.6418 0.7933
F -1.9965 0.7925 -4.3164
F -1.3902 0.5962 -1.0485
F -2.2740 3.5052 -2.4058
CELL_PARAMETERS angstrom
-0.4973 4.8592 3.4225
-1.0861 0.3517 -5.8540
-4.7591 -1.0639 0.8190
```

=====

According to the calculations, the structures order from most to least stable as a, b.

=====

a:
# Si

Si after structural relaxation (PBE, Materials Project). Values from VASP.

Calculated values
Space group: P1, No. 1
Volume: 19.18 Å³ per atom

Quantum ESPRESSO input file:
```
&SYSTEM
  ibrav = 0, nat = 100, ntyp = 1
/
ATOMIC_SPECIES
Si 28.09 Si.upf
ATOMIC_POSITIONS angstrom
Si 1.0534 -11.6371 -1.9817
Si 4.8080 -5.3797 7.0218
Si 1.1907 -6.8234 7.1746
Si 1.4364 -12.6259 0.1054
Si 3.6351 -18.0482 6.9159
Si 9.1381 -7.8234 2.2666
Si 2.7956 -10.3208 7.1940
Si 7.4527 -4.7433 1.6499
Si 3.1396 -10.4810 3.3081
Si 4.0130 -13.9173 7.7358
Si 5.3435 -16.9826 4.6863
Si -3.5664 -12.1858 3.0901
Si -3.4495 -8.6372 4.1727
Si 4.4243 -13.4156 4.3083
Si -0.2656 -11.5140 4.9948
Si 5.6385 -7.9804 3.0215
Si 1.5435 -9.3433 -1.6396
Si 4.5028 -3.1424 4.1579
Si -3.4161 -4.5774 4.9665
Si 8.7329 -2.9903 2.9397
Si 0.7313 -14.2801 7.5133
Si -1.3257 -3.2615 2.4741
Si 0.7221 -1.4300 0.2867
Si 1.8369 -5.5411 1.0186
Si 1.9055 -12.1988 4.4554
Si 1.7801 -7.4139 9.4006
Si 5.4011 -5.2254 0.5815
Si -1.0271 -11.7283 7.2688
Si 9.3068 -5.9492 0.9006
Si 3.1230 -16.1196 4.1243
Si 1.6731 -16.5716 5.9059
Si -6.6287 -16.8167 4.3261
Si -3.5773 -9.9741 2.1431
Si 8.0983 -9.6229 1.1491
Si -3.5928 -15.7782 0.6384
Si 6.1593 -12.3721 -1.1713
Si 0.8088 -2.7429 3.4312
Si 5.0655 -10.0299 6.5547
Si -1.2687 -6.3709 2.1437
Si 11.1864 -3.1698 2.8945
Si 7.8135 -13.1106 0.3493
Si 6.2325 -4.2067 5.4294
Si 8.8251 -6.8020 4.4570
Si -5.0865 -7.2799 7.3173
Si 7.7617 -12.7290 2.6347
Si 7.1105 -10.4420 3.2565
Si -0.1322 -9.1743 9.2412
Si 5.3043 -8.3522 9.2864
Si 6.3364 -14.4083 3.4154
Si 5.9926 -10.5689 8.6976
Si 6.6643 -5.9018 3.6606
Si -5.0739 -14.0327 2.9140
Si -0.0123 -8.5821 2.1966
Si 2.8651 -11.5095 -3.5133
Si -0.7427 -12.2436 1.0455
Si 2.4223 -4.2222 4.4966
Si 5.3587 -7.7335 0.5643
Si 3.1432 -7.1692 -0.0430
Si 8.4561 -8.6296 -1.0424
Si 1.2167 -18.8352 5.7595
Si -1.2031 -15.0653 3.4728
Si 3.3175 -8.1329 3.7972
Si 1.8016 -9.0169 0.6701
Si -1.3320 -7.9468 7.4850
Si -1.2434 -8.2538 -0.6799
Si -2.6027 -9.9879 7.6172
Si -3.0916 -10.9254 -2.4185
Si -6.1148 -13.5243 5.0058
Si 0.2321 -9.2976 4.4479
Si -4.2113 -9.9845 5.9365
Si -4.1162 -12.2971 5.4131
Si -1.2969 -12.7210 3.2530
Si 2.1728 -9.7741 9.4115
Si 2.3479 -12.5938 6.7170
Si 2.3163 -3.2360 0.6999
Si 2.4628 -4.8110 6.8468
Si 4.9718 -10.4283 -0.3074
Si 4.4416 -3.2932 1.7609
Si -0.8776 -15.1444 5.8360
Si 2.4258 -14.0602 3.0897
Si -1.1545 -12.2763 -2.5656
Si 4.2663 -13.5452 1.6622
Si 7.8709 -7.1212 6.6490
Si -2.4807 -13.5311 6.7093
Si -0.2103 -8.3445 -2.7907
Si 1.8963 -6.2277 3.3123
Si 5.5328 -7.6586 7.0157
Si -4.4568 -17.7387 3.8469
Si 3.8086 -9.7622 -2.2397
Si -2.7366 -13.4755 0.3414
Si -1.4710 -9.9669 0.9748
Si -0.3020 -5.9482 4.2675
Si -3.4539 -15.8090 2.9824
Si 5.1443 -11.0911 4.4007
Si 3.1263 -11.1511 1.0284
Si 8.8533 -4.4159 5.0503
Si -0.2072 -6.1863 0.0401
Si 2.0510 -8.5666 5.7930
Si -1.1862 -4.4646 -1.2733
Si -1.4336 -7.8473 5.1353
CELL_PARAMETERS angstrom
-2.5124 -11.6171 -4.9929
12.5284 -0.4740 2.6716
-5.8981 -7.1660 9.0028
```

=====

b:
# Si

Si after structural relaxation (PBE, Materials Project). Values from VASP.

Calculated values
Space group: Fd-3m, No. 227
Volume: 20.44 Å³ per atom

Quantum ESPRESSO input file:
```
&SYSTEM
  ibrav = 0, nat = 2, ntyp = 1
/
ATOMIC_SPECIES
Si 28.09 Si.upf
ATOMIC_POSITIONS angstrom
Si -4.7929 4.1388 -3.2197
Si 0.0000 0.0000 0.0000
CELL_PARAMETERS angstrom
-0.7624 3.5909 -1.2157
-2.0181 0.5527 -3.2520
-3.6101 1.3748 0.1748
```

=====

According to the calculations, the structures order from most to least stable as b, a.

=====

a:
# Si

Si after structural relaxation (PBE, Materials Project). Values from VASP.

Calculated values
Space group: P6/mmm, No. 191
Volume: 23.50 Å³ per atom

Quantum ESPRESSO input file:
```
&SYSTEM
  ibrav = 0, nat = 40, ntyp = 1
/
ATOMIC_SPECIES
Si 28.09 Si.upf
ATOMIC_POSITIONS angstrom
Si -6.0168 7.8376 -2.4469
Si -6.3126 4.6583 1.7948
Si -2.0618 4.2255 -1.4732
Si -6.7982 2.5704 -3.2094
Si -4.5779 1.8083 -0.2205
Si -4.2821 4.9876 -4.4621
Si -8.5328 5.4204 -1.1942
Si -3.7965 7.0754 0.5421
Si -1.8840 10.3863 0.0198
Si -2.6084 8.7572 1.7001
Si -4.2850 -0.3818 0.6152
Si -6.4407 -1.5196 0.3688
Si 0.2830 4.0066 -1.6590
Si 1.0074 5.6357 -3.3394
Si -9.3321 3.2309 3.7280
Si -7.1764 4.3688 3.9744
Si -7.4587 7.4439 -0.6175
Si -6.0274 6.9526 1.3093
Si -3.1360 2.2020 -2.0499
Si -4.5673 2.6933 -3.9767
Si -0.8792 9.0674 -3.5333
Si -9.7155 0.5785 0.8660
Si -2.6727 9.6026 -2.0646
Si -9.6566 2.8932 1.4125
Si -0.9381 6.7526 -4.0799
Si -7.9220 0.0432 -0.6028
Si -3.8137 7.5996 -1.7278
Si -7.8190 3.7517 0.2664
Si -2.7757 5.8942 -2.9337
Si -6.7810 2.0463 -0.9396
Si -6.3029 6.2047 -4.1533
Si -4.2918 3.4412 1.4860
Si -2.7019 4.9686 0.6944
Si -7.8928 4.6773 -3.3617
Si -4.5250 1.5533 -6.0916
Si -1.4463 0.4965 -1.9470
Si 2.2903 5.1505 -5.3125
Si 0.7320 1.6462 -1.6980
Si -2.1784 -1.1498 -0.2490
Si -6.8154 -3.5972 -0.7791
CELL_PARAMETERS angstrom
3.0224 6.7967 -7.0105
-8.9937 -4.7470 -1.0281
-4.6233 7.5961 5.3713
```

=====

b:
# Si

Si after structural relaxation (PBE, Materials Project). Values from VASP.

Calculated values
Space group: Cmcm, No. 63
Volume: 15.56 Å³ per atom

Quantum ESPRESSO input file:
```
&SYSTEM
  ibrav = 0, nat = 4, ntyp = 1
/
ATOMIC_SPECIES
Si 28.09 Si.upf
ATOMIC_POSITIONS angstrom
Si -0.6142 0.2986 5.2039
Si -0.9614 -1.1908 3.2175
Si -2.1017 -3.3169 -2.4660
Si -1.7545 -1.8275 -0.4796
CELL_PARAMETERS angstrom
-0.9589 2.9681 4.4921
-2.3965 -3.1989 -3.7326
0.6395 -2.7875 1.9784
```

=====

According to the calculations, the structures order from most to least stable as a, b.

=====

a:
# Ba2YBr7

Ba2YBr7 after structural relaxation (PBE, Materials Project). Values from VASP.

Calculated values
Space group: C2/c, No. 15
Volume: 33.69 Å³ per atom

Quantum ESPRESSO input file:
```
&SYSTEM
  ibrav = 0, nat = 20, ntyp = 3
/
ATOMIC_SPECIES
Ba 137.33 Ba.upf
Y 88.91 Y.upf
Br 79.90 Br.upf
ATOMIC_POSITIONS angstrom
Ba 0.1188 17.2304 6.1895
Ba -0.1188 13.6589 1.7707
Ba 0.1188 11.0774 7.0669
Ba -0.1188 7.5060 2.6481
Y -3.8828 14.1539 6.6282
Y 3.8828 10.5824 2.2094
Br 1.0943 20.2515 7.4171
Br -1.0943 16.6801 2.9983
Br 2.9606 17.1199 8.3373
Br 2.4039 14.9511 4.9870
Br -0.8706 14.1539 6.6282
Br -2.9606 13.5485 3.9185
Br 2.4039 13.3566 8.2694
Br -2.4039 11.3797 0.5682
Br 2.9606 11.1878 4.9191
Br 0.8706 10.5824 2.2094
Br -2.4039 9.7852 3.8506
Br -2.9606 7.6164 0.5003
Br 1.0943 8.0563 5.8393
Br -1.0943 4.4848 1.4205
CELL_PARAMETERS angstrom
4.3336 8.7967 0.0000
-4.3336 8.7967 0.0000
0.0000 7.1429 8.8376
```

=====

b:
# Ba2YBr7

Ba2YBr7 after structural relaxation (PBE, Materials Project). Values from VASP.

Calculated values
Space group: P2_1/c, No. 14
Volume: 43.92 Å³ per atom

Quantum ESPRESSO input file:
```
&SYSTEM
  ibrav = 0, nat = 40, ntyp = 3
/
ATOMIC_SPECIES
Ba 137.33 Ba.upf
Y 88.91 Y.upf
Br 79.90 Br.upf
ATOMIC_POSITIONS angstrom
Ba -14.9354 5.0292 -5.3527
Ba -18.3106 8.9440 -4.9530
Ba -10.2763 1.9917 -7.0282
Ba -10.7132 -3.1678 -6.7719
Ba -10.8283 15.5292 -3.5655
Ba -11.2652 10.3697 -3.3091
Ba -3.2309 3.4174 -5.3844
Ba -6.6061 7.3321 -4.9846
Y -11.6086 12.4261 -7.3659
Y -4.1202 5.1679 -1.2674
Y -17.4213 7.1935 -9.0700
Y -9.9329 -0.0647 -2.9714
Br -15.0350 8.9703 -4.3032
Br -11.7758 9.8093 -6.4622
Br -8.8404 -0.7693 -5.5134
Br -8.0996 6.6177 -7.6914
Br -9.0521 12.7141 -6.3816
Br -15.5478 2.3506 -3.5145
Br -17.9598 12.0489 -5.0045
Br -12.3796 4.2990 -6.8912
Br -14.2823 12.4243 -8.4061
Br -6.3695 3.9311 -2.2666
Br -17.8701 5.9100 -6.5594
Br -9.1745 15.7485 -0.8665
Br -12.9518 0.1120 -7.7073
Br -2.4597 3.1726 -2.2439
Br -19.0819 9.1888 -8.0934
Br -8.5897 12.2494 -2.6300
Br -12.3670 -3.3871 -9.4709
Br -3.6714 6.4514 -3.7779
Br -15.1721 8.4303 -8.0707
Br -7.2593 -0.0629 -1.9312
Br -9.1619 8.0623 -3.4462
Br -3.5817 0.3124 -5.3328
Br -5.9938 10.0108 -6.8229
Br -12.4894 -0.3527 -3.9557
Br -13.4419 5.7436 -2.6459
Br -12.7012 13.1307 -4.8240
Br -9.7658 2.5521 -3.8751
Br -6.5065 3.3911 -6.0341
CELL_PARAMETERS angstrom
-5.6179 17.3498 0.2742
-2.3190 -0.6356 -7.3000
-13.6045 -4.3529 -3.3115
```

=====

According to the calculations, the structures order from most to least stable as b, a.